This record from Materials Project describes a relaxed DySb crystal. The functional is GGA-PBE.

Output
- Energy: -43.9 eV per cell
- E_form: -1.220 eV per atom
- Calculated volume: 29.852 A^3/atom

a = 6.204 Å, b = 6.204 Å, c = 6.204 Å
α = 90.00°, β = 90.00°, γ = 90.00°
Space group Fm-3m (No. 225)
Inequivalent atoms, fractional coordinates:
Dy 0.000 0.000 0.000 [4 per cell]
Sb 0.000 0.000 0.500 [4 per cell]